## FeHO2 (PBE with a Hubbard U)

Data for a relaxed structure of FeHO2.

Summary:
SG   No. 1
ΔH_f (0 K)   -1.43 eV/atom
Total energy   -5.96 eV per atom

a = 10.6533 Å, b = 6.1417 Å, c = 10.6216 Å
α = 89.89°, β = 88.95°, γ = 89.99°
Last column: nearest neighbours and their distance in Å.
Atoms (fractional coordinates):
Fe: 0.3300 0.9848 0.1285  5 O 1.94-2.15
Fe: 0.1428 0.9906 0.6346  4 O 1.93-2.16
Fe: 0.8474 0.2465 0.6278  6 O 1.98-2.17
Fe: 0.6739 0.2424 0.1196  5 O 1.94-2.12
Fe: 0.6605 0.0071 0.8208  6 O 2.00-2.13
Fe: 0.8682 0.9935 0.3257  3 O 1.91-1.94
Fe: 0.1489 0.2446 0.3493  3 O 1.90-1.93
Fe: 0.3512 0.2413 0.8272  6 O 1.94-2.14
Fe: 0.3242 0.5063 0.1271  4 O 1.93-2.12
Fe: 0.1437 0.4959 0.6345  4 O 1.93-2.15
Fe: 0.8497 0.7452 0.6135  6 O 1.96-2.17
Fe: 0.6823 0.7418 0.1194  5 O 1.93-2.12
Fe: 0.6582 0.4873 0.8188  6 O 2.00-2.16
Fe: 0.8686 0.4930 0.3256  3 O 1.91-1.94
Fe: 0.1646 0.7455 0.3343  6 O 1.96-2.05
Fe: 0.3599 0.7420 0.8245  6 O 1.93-2.16
H: 0.3334 0.9887 0.4132  1 O 0.97
H: 0.4126 0.9782 0.6293  1 O 0.98
H: 0.9175 0.2461 0.1041  1 O 0.97
H: 0.6490 0.0288 0.5570  1 O 0.97
H: 0.6038 0.9721 0.3160  1 O 0.97
H: 0.1368 0.2218 0.0933  1 O 0.97
H: 0.4713 0.2548 0.0359  1 O 0.99
H: 0.0920 0.2419 0.8411  1 O 0.97
H: 0.3361 0.5062 0.4087  1 O 0.97
H: 0.4140 0.4643 0.6317  1 O 0.98
H: 0.8593 0.7330 0.8624  1 O 0.97
H: 0.9443 0.7402 0.1293  1 O 0.98
H: 0.6628 0.5107 0.5407  1 O 0.97
H: 0.5970 0.4836 0.3097  1 O 0.97
H: 0.4822 0.7452 0.0324  1 O 0.99
H: 0.1179 0.7406 0.8563  1 O 0.97
O: 0.2939 0.9935 0.3314  1 H 0.97
O: 0.0474 0.9896 0.3216  3 Fe 1.91-1.96
O: 0.3418 0.9908 0.6884  1 H 0.98
O: 0.3321 0.9912 0.9458  3 Fe 1.94-2.02
O: 0.7858 0.2500 0.8060  3 Fe 1.99-2.01
O: 0.5333 0.2454 0.8137  3 Fe 1.94-2.00
O: 0.8593 0.2429 0.1759  1 H 0.97
O: 0.8353 0.2434 0.4333  3 Fe 1.94-2.07
O: 0.7053 0.9942 0.6251  1 H 0.97
O: 0.9617 0.9926 0.6397  3 Fe 1.93-1.98
O: 0.6727 0.9896 0.2560  1 H 0.97
O: 0.6784 0.9915 0.0091  3 Fe 1.93-2.01
O: 0.2068 0.2412 0.1499  1 H 0.97
O: 0.4646 0.2466 0.1289  1 H 0.99
O: 0.1579 0.2413 0.7767  1 H 0.97
O: 0.1743 0.2435 0.5261  3 Fe 1.90-1.96
O: 0.2927 0.4966 0.3291  1 H 0.97
O: 0.0477 0.5002 0.3214  3 Fe 1.91-1.96
O: 0.3425 0.4893 0.6887  1 H 0.98
O: 0.3315 0.4936 0.9454  3 Fe 1.93-2.01
O: 0.7908 0.7445 0.8037  1 H 0.97
O: 0.5406 0.7463 0.8136  3 Fe 1.93-2.05
O: 0.8653 0.7410 0.1780  1 H 0.98
O: 0.8290 0.7431 0.4305  3 Fe 1.94-1.96
O: 0.7060 0.5005 0.6201  1 H 0.97
O: 0.9626 0.4980 0.6398  3 Fe 1.93-1.98
O: 0.6713 0.4907 0.2559  1 H 0.97
O: 0.6772 0.4939 0.0087  3 Fe 1.93-2.03
O: 0.2078 0.7479 0.1519  3 Fe 1.95-1.98
O: 0.4687 0.7436 0.1250  1 H 0.99
O: 0.1642 0.7412 0.7764  1 H 0.97
O: 0.1735 0.7438 0.5186  3 Fe 1.96-1.98


## FeHO2 (PBE with a Hubbard U)

Data for a relaxed structure of FeHO2.

Summary:
SG   No. 87
ΔH_f (0 K)   -1.49 eV/atom
Total energy   -6.03 eV per atom

a = 3.0649 Å, b = 7.6680 Å, c = 7.6679 Å
α = 87.71°, β = 78.47°, γ = 78.47°
Last column: nearest neighbours and their distance in Å.
Atoms (fractional coordinates):
Fe: 0.6474 0.2052 0.5000  5 O 1.94-2.15
Fe: 0.3526 0.7948 0.5000  5 O 1.94-2.15
Fe: 0.1474 0.5000 0.2052  5 O 1.94-2.15
Fe: 0.8526 0.5000 0.7948  5 O 1.94-2.15
H: 0.1628 0.7556 0.9188  1 O 0.97
H: 0.8372 0.2444 0.0812  1 O 0.97
H: 0.9184 0.9188 0.2444  1 O 0.97
H: 0.0816 0.0812 0.7556  1 O 0.97
O: 0.2116 0.6297 0.9473  1 H 0.97
O: 0.7884 0.3703 0.0527  1 H 0.97
O: 0.8411 0.9473 0.3703  1 H 0.97
O: 0.1589 0.0527 0.6297  1 H 0.97
O: 0.1692 0.2973 0.3643  3 Fe 1.94-1.97
O: 0.8308 0.7027 0.6357  3 Fe 1.94-1.97
O: 0.4665 0.3643 0.7027  3 Fe 1.94-1.97
O: 0.5335 0.6357 0.2973  3 Fe 1.94-1.97


## FeHO2 (PBE with a Hubbard U)

Data for a relaxed structure of FeHO2.

Summary:
SG   No. 87
ΔH_f (0 K)   -1.49 eV/atom
Total energy   -6.03 eV per atom

a = 3.0652 Å, b = 7.6740 Å, c = 7.6729 Å
α = 92.28°, β = 101.53°, γ = 78.48°
Last column: nearest neighbours and their distance in Å.
Atoms (fractional coordinates):
Fe: 0.8501 0.7943 0.4946  5 O 1.93-2.15
Fe: 0.1499 0.2057 0.5054  5 O 1.93-2.15
Fe: 0.6446 0.5054 0.7943  5 O 1.93-2.15
Fe: 0.3554 0.4946 0.2057  5 O 1.93-2.15
H: 0.9105 0.2408 0.0619  1 O 0.97
H: 0.0895 0.7592 0.9381  1 O 0.97
H: 0.8486 0.0620 0.7593  1 O 0.97
H: 0.1514 0.9380 0.2407  1 O 0.97
O: 0.8401 0.3691 0.0494  1 H 0.97
O: 0.1599 0.6309 0.9506  1 H 0.97
O: 0.7908 0.0494 0.6309  1 H 0.97
O: 0.2092 0.9506 0.3691  1 H 0.97
O: 0.4639 0.7039 0.6320  3 Fe 1.93-1.97
O: 0.5361 0.2961 0.3680  3 Fe 1.93-1.97
O: 0.8319 0.6320 0.2961  3 Fe 1.93-1.97
O: 0.1681 0.3680 0.7039  3 Fe 1.93-1.97